# 1
The following is a DFT calculation (r²SCAN) of a geometry-optimized Zr2ReRh structure.

Its symmetry is Fm-3m. Its crystal system is cubic.

a b c (Å): 4.6439 4.6439 4.6439
angles (deg): 60.00 60.00 60.00
Last column: nearest neighbours and their distance in Å.
Fractional positions:
Zr  0.7500  0.7500  0.7500  4 Re 2.84, 4 Rh 2.84
Re  0.5000  0.5000  0.5000  8 Zr 2.84
Zr  0.2500  0.2500  0.2500  4 Re 2.84, 4 Rh 2.84
Rh  0.0000  0.0000  0.0000  8 Zr 2.84

# 2
The following is a DFT calculation (r²SCAN) of a geometry-optimized Ce2TiO5 structure.

Its symmetry is P2_1/m. Its crystal system is monoclinic.

a b c (Å): 3.8740 10.8238 11.4454
angles (deg): 90.02 90.00 90.00
Last column: nearest neighbours and their distance in Å.
Fractional positions:
O  0.2500  0.7261  0.0381  1 Ti 1.91
Ti  0.2500  0.6867  0.8758  3 O 1.79-1.91
O  0.7500  0.5069  0.6037  4 Ce 2.35-2.45
O  0.2500  0.2254  0.4622  1 Ti 1.91
Ce  0.2500  0.6023  0.2186  7 O 2.35-2.55
O  0.2500  0.9930  0.1032  4 Ce 2.35-2.45
O  0.2500  0.7662  0.3792  2 Ti 2.00
O  0.2500  0.4931  0.3963  4 Ce 2.35-2.45
Ce  0.7500  0.8630  0.0595  7 O 2.43-2.48
O  0.7500  0.2739  0.9619  1 Ti 1.91
O  0.2500  0.2715  0.7706  1 Ti 1.91
O  0.2500  0.2657  0.1201  2 Ti 2.01
O  0.7500  0.7343  0.8799  2 Ti 2.01
O  0.7500  0.9733  0.3358  1 Ti 1.79
Ce  0.2500  0.1022  0.2806  7 O 2.35-2.55
O  0.2500  0.5266  0.8373  1 Ti 1.79
O  0.2500  0.0267  0.6642  1 Ti 1.79
Ti  0.2500  0.1864  0.6247  3 O 1.79-1.91
O  0.7500  0.2285  0.2700  1 Ti 1.91
Ti  0.7500  0.3133  0.1242  3 O 1.79-1.91
Ce  0.7500  0.3977  0.7814  7 O 2.35-2.55
Ce  0.2500  0.1370  0.9405  7 O 2.43-2.48
O  0.7500  0.0070  0.8968  4 Ce 2.35-2.45
Ce  0.7500  0.8978  0.7194  7 O 2.35-2.55
O  0.7500  0.7746  0.5378  1 Ti 1.91
Ce  0.7500  0.3626  0.4407  7 O 2.43-2.49
Ce  0.2500  0.6374  0.5593  7 O 2.43-2.49
O  0.7500  0.7285  0.2294  1 Ti 1.91
O  0.2500  0.7715  0.7300  1 Ti 1.91
O  0.7500  0.4734  0.1627  1 Ti 1.79
Ti  0.7500  0.8136  0.3753  3 O 1.79-1.91
O  0.7500  0.2338  0.6208  2 Ti 2.00

# 3
The following is a DFT calculation (r²SCAN) of a geometry-optimized GaH15N5Cl3 structure.

Its symmetry is Pnma. Its crystal system is orthorhombic.

a b c (Å): 6.6361 10.5863 13.3634
angles (deg): 90.00 90.00 90.00
Last column: nearest neighbours and their distance in Å.
Fractional positions:
N  0.0997  0.2500  0.2846  3 H 1.02-1.03
H  0.4918  0.7500  0.7774  1 N 1.02
N  0.5997  0.7500  0.2154  3 H 1.02-1.03
Cl  0.3287  0.0040  0.1495  5 H 2.29-2.52
N  0.5534  0.2500  0.2953  3 H 1.02-1.03
N  0.0840  0.2500  0.5023  3 H 1.02-1.03
Cl  0.9421  0.2500  0.0305  1 Ga 2.39, 1 H 2.64
H  0.3585  0.6716  0.6936  1 N 1.03
N  0.5840  0.7500  0.9977  3 H 1.02-1.03
H  0.8585  0.1716  0.8064  1 N 1.03
H  0.9014  0.6720  0.4527  1 N 1.03
H  0.2299  0.4857  0.3491  1 N 1.02
N  0.9466  0.2500  0.7953  3 H 1.02-1.03
N  0.4466  0.7500  0.7047  3 H 1.02-1.03
H  0.5082  0.2500  0.2226  1 N 1.02
Cl  0.1713  0.4960  0.6495  5 H 2.29-2.52
H  0.0100  0.1717  0.2925  1 N 1.03
H  0.0347  0.4797  0.8868  1 N 1.02
H  0.6485  0.7500  0.2877  1 N 1.02
N  0.8236  0.9459  0.0993  3 H 1.02
H  0.5986  0.8280  0.9527  1 N 1.03
N  0.6764  0.9459  0.5993  3 H 1.02
H  0.5986  0.6720  0.9527  1 N 1.03
H  0.2701  0.4857  0.8491  1 N 1.02
H  0.8515  0.7500  0.7877  1 N 1.02
Cl  0.8287  0.5040  0.3505  5 H 2.29-2.52
H  0.7701  0.5143  0.6509  1 N 1.02
H  0.9900  0.8283  0.7075  1 N 1.03
H  0.8585  0.3284  0.8064  1 N 1.03
Ga  0.1834  0.2500  0.8973  5 N 2.07-2.09
H  0.3585  0.8284  0.6936  1 N 1.03
H  0.7701  0.9857  0.6509  1 N 1.02
H  0.5100  0.6717  0.2075  1 N 1.03
H  0.7299  0.9857  0.1509  1 N 1.02
H  0.0986  0.3280  0.5473  1 N 1.03
H  0.2701  0.0143  0.8491  1 N 1.02
N  0.1764  0.4459  0.9007  3 H 1.02
N  0.3236  0.4459  0.4007  3 H 1.02
H  0.9918  0.2500  0.7226  1 N 1.02
H  0.1415  0.8284  0.1936  1 N 1.03
H  0.9014  0.8280  0.4527  1 N 1.03
H  0.4900  0.1717  0.7925  1 N 1.03
N  0.0534  0.7500  0.2047  3 H 1.02-1.03
H  0.7181  0.9801  0.5308  1 N 1.02
H  0.9653  0.9797  0.1132  1 N 1.02
H  0.7299  0.5143  0.1509  1 N 1.02
H  0.7819  0.9801  0.0308  1 N 1.02
Cl  0.6713  0.5040  0.8505  5 H 2.29-2.52
Cl  0.0579  0.7500  0.9695  1 Ga 2.39, 1 H 2.64
H  0.9900  0.6717  0.7075  1 N 1.03
Cl  0.1713  0.0040  0.6495  5 H 2.29-2.52
N  0.9003  0.7500  0.7154  3 H 1.02-1.03
Cl  0.4421  0.7500  0.4695  1 Ga 2.39, 1 H 2.64
H  0.1485  0.2500  0.2123  1 N 1.02
N  0.3236  0.0541  0.4007  3 H 1.02
H  0.6415  0.1716  0.3064  1 N 1.03
H  0.2181  0.4801  0.9692  1 N 1.02
H  0.7819  0.5199  0.0308  1 N 1.02
H  0.2299  0.0143  0.3491  1 N 1.02
H  0.2181  0.0199  0.9692  1 N 1.02
N  0.1764  0.0541  0.9007  3 H 1.02
H  0.2819  0.0199  0.4692  1 N 1.02
Cl  0.5579  0.2500  0.5305  1 Ga 2.39, 1 H 2.64
H  0.6415  0.3284  0.3064  1 N 1.03
H  0.2819  0.4801  0.4692  1 N 1.02
H  0.0100  0.3283  0.2925  1 N 1.03
H  0.5347  0.9797  0.6132  1 N 1.02
H  0.4014  0.1720  0.0473  1 N 1.03
Cl  0.8287  0.9960  0.3505  5 H 2.29-2.52
Ga  0.6834  0.7500  0.6027  5 N 2.07-2.09
H  0.9396  0.2500  0.4758  1 N 1.02
Cl  0.6713  0.9960  0.8505  5 H 2.29-2.52
H  0.5100  0.8283  0.2075  1 N 1.03
H  0.1415  0.6716  0.1936  1 N 1.03
H  0.0604  0.7500  0.5242  1 N 1.02
N  0.6764  0.5541  0.5993  3 H 1.02
H  0.3515  0.2500  0.7123  1 N 1.02
H  0.4900  0.3283  0.7925  1 N 1.03
N  0.4003  0.2500  0.7846  3 H 1.02-1.03
H  0.4653  0.4797  0.3868  1 N 1.02
N  0.8236  0.5541  0.0993  3 H 1.02
H  0.0986  0.1720  0.5473  1 N 1.03
Cl  0.3287  0.4960  0.1495  5 H 2.29-2.52
Ga  0.3166  0.2500  0.3973  5 N 2.07-2.09
H  0.5347  0.5203  0.6132  1 N 1.02
N  0.4160  0.2500  0.0023  3 H 1.02-1.03
H  0.7181  0.5199  0.5308  1 N 1.02
H  0.4014  0.3280  0.0473  1 N 1.03
H  0.4396  0.7500  0.0242  1 N 1.02
Ga  0.8166  0.7500  0.1027  5 N 2.07-2.09
H  0.0082  0.7500  0.2774  1 N 1.02
H  0.9653  0.5203  0.1132  1 N 1.02
H  0.5604  0.2500  0.9758  1 N 1.02
H  0.0347  0.0203  0.8868  1 N 1.02
H  0.4653  0.0203  0.3868  1 N 1.02
N  0.9160  0.7500  0.4977  3 H 1.02-1.03

# 4
The following is a DFT calculation (r²SCAN) of a geometry-optimized Zr6CoTe2 structure.

Its symmetry is P-62m. Its crystal system is hexagonal.

a b c (Å): 3.6335 7.7784 7.7783
angles (deg): 120.00 90.00 90.00
Last column: nearest neighbours and their distance in Å.
Fractional positions:
Zr  0.5000  0.2375  0.0000  2 Co 2.59
Te  0.5000  0.6667  0.3333  9 Zr 2.98-3.04
Te  0.5000  0.3333  0.6667  9 Zr 2.98-3.04
Zr  0.0000  0.4048  0.4048  4 Te 2.98, 1 Co 3.15, 6 Zr 3.29-3.32
Zr  0.0000  0.5951  0.0000  4 Te 2.98, 1 Co 3.15, 6 Zr 3.29-3.32
Zr  0.5000  0.9999  0.2374  2 Co 2.59
Zr  0.5000  0.7626  0.7627  2 Co 2.59
Zr  0.0000  0.0001  0.5951  4 Te 2.98, 1 Co 3.15, 6 Zr 3.29-3.32
Co  0.0000  0.0000  0.0000  6 Zr 2.59

# 5
The following is a DFT calculation (r²SCAN) of a geometry-optimized Sm2Al9Co3 structure.

Its symmetry is Cmcm. Its crystal system is orthorhombic.

a b c (Å): 7.3699 7.3699 9.3278
angles (deg): 90.00 90.00 119.05
Last column: nearest neighbours and their distance in Å.
Fractional positions:
Sm  0.3278  0.0075  0.7500  11 Al 2.97-3.11
Al  0.3325  0.3325  0.9655  3 Co 2.51-2.52, 3 Al 2.59-2.65
Al  0.6675  0.6675  0.4655  3 Co 2.51-2.52, 3 Al 2.59-2.65
Al  0.4484  0.6613  0.7500  2 Co 2.50, 4 Al 2.71-2.78
Sm  0.6722  0.9925  0.2500  11 Al 2.97-3.11
Al  0.3387  0.5516  0.2500  2 Co 2.50, 4 Al 2.71-2.78
Al  0.8718  0.8718  0.7500  2 Co 2.52, 6 Al 2.73
Al  0.9990  0.3354  0.0702  3 Co 2.49-2.57, 4 Al 2.65-2.78
Al  0.9990  0.3354  0.4298  3 Co 2.49-2.57, 4 Al 2.65-2.78
Al  0.6646  0.0010  0.5702  3 Co 2.49-2.57, 4 Al 2.65-2.78
Al  0.6646  0.0010  0.9298  3 Co 2.49-2.57, 4 Al 2.65-2.78
Al  0.0010  0.6646  0.9298  3 Co 2.49-2.57, 4 Al 2.65-2.78
Sm  0.0075  0.3278  0.7500  11 Al 2.97-3.11
Co  0.3295  0.6705  0.5000  8 Al 2.49-2.57
Al  0.0010  0.6646  0.5702  3 Co 2.49-2.57, 4 Al 2.65-2.78
Co  0.6705  0.3295  0.5000  8 Al 2.49-2.57
Al  0.3354  0.9990  0.0702  3 Co 2.49-2.57, 4 Al 2.65-2.78
Al  0.1282  0.1282  0.2500  2 Co 2.52, 6 Al 2.73
Al  0.6675  0.6675  0.0345  3 Co 2.51-2.52, 3 Al 2.59-2.65
Co  0.0000  0.0000  0.5000  8 Al 2.51-2.56
Al  0.5516  0.3387  0.2500  2 Co 2.50, 4 Al 2.71-2.78
Al  0.3325  0.3325  0.5345  3 Co 2.51-2.52, 3 Al 2.59-2.65
Co  0.6705  0.3295  0.0000  8 Al 2.49-2.57
Sm  0.9925  0.6722  0.2500  11 Al 2.97-3.11
Al  0.3354  0.9990  0.4298  3 Co 2.49-2.57, 4 Al 2.65-2.78
Co  0.0000  0.0000  0.0000  8 Al 2.51-2.56
Co  0.3295  0.6705  0.0000  8 Al 2.49-2.57
Al  0.6613  0.4484  0.7500  2 Co 2.50, 4 Al 2.71-2.78

# 6
The following is a DFT calculation (r²SCAN) of a geometry-optimized Ca2Mg structure.

Its symmetry is C2/m. Its crystal system is monoclinic.

a b c (Å): 6.7062 6.7062 9.2781
angles (deg): 69.16 69.16 33.42
Last column: nearest neighbours and their distance in Å.
Fractional positions:
Ca  0.5164  0.5164  0.2922  4 Mg 3.49-3.52, 6 Ca 3.72-3.87
Ca  0.1646  0.1646  0.8918  2 Mg 3.47, 5 Ca 3.81-3.87
Mg  0.1881  0.1881  0.4314  2 Mg 3.06
Mg  0.8119  0.8119  0.5686  2 Mg 3.06
Ca  0.4836  0.4836  0.7078  4 Mg 3.49-3.52, 6 Ca 3.72-3.87
Ca  0.8354  0.8354  0.1082  2 Mg 3.47, 5 Ca 3.81-3.87

Which V belongs to each record? In order, 71; 480; 939; 190; 443; 213 Å³/cell.
Which ΔH_f (0 K) belongs to each record? In order, -0.6401; -3.6614; -0.6269; -0.6221; -0.5233; -0.0218 eV/atom.